# MnP2O7

A relaxed MnP2O7 crystal (PBE+U, the Materials Project database).

Cell: 6.273 9.389 10.593 Å, 64.82 80.22 73.72°
Space group P1 (No. 1)
Inequivalent atoms, fractional coordinates:
1 Mn 0.000 0.000 0.000
2 Mn 0.090 0.367 0.028
3 Mn 0.338 0.866 0.522
4 Mn 0.429 0.233 0.550
5 P 0.015 0.337 0.739
6 P 0.125 0.958 0.240
7 P 0.304 0.275 0.310
8 P 0.414 0.896 0.811
9 P 0.610 0.266 0.075
10 P 0.636 0.515 0.565
11 P 0.793 0.718 0.985
12 P 0.818 0.968 0.475
13 O 0.009 0.609 0.970
14 O 0.022 0.868 0.563
15 O 0.068 0.835 0.190
16 O 0.105 0.334 0.225
17 O 0.113 0.388 0.830
18 O 0.148 0.096 0.087
19 O 0.155 0.359 0.605
20 O 0.274 0.874 0.945
21 O 0.281 0.138 0.463
22 O 0.315 0.845 0.720
23 O 0.323 0.900 0.325
24 O 0.361 0.398 0.360
25 O 0.406 0.365 0.987
26 O 0.420 0.625 0.580
27 O 0.459 0.066 0.737
28 O 0.516 0.205 0.237
29 O 0.586 0.342 0.604
30 O 0.642 0.763 0.861
31 O 0.655 0.864 0.496
32 O 0.666 0.660 0.127
33 O 0.713 0.102 0.054
34 O 0.715 0.132 0.496
35 O 0.761 0.582 0.427
36 O 0.774 0.369 0.054
37 O 0.787 0.470 0.689
38 O 0.842 0.892 0.946
39 O 0.913 0.028 0.313
40 O 0.970 0.167 0.813

Results
Offset from the most stable computed form, eV/atom: 0.100
Energy of formation, eV/atom: -2.2843
V, Å³/cell: 541

***

# FeH12S2O14

A relaxed FeH12S2O14 crystal (PBE+U, the Materials Project database).

Cell: 6.289 12.551 9.037 Å, 90.00 107.33 90.00°
Space group P2_1/c (No. 14)
Inequivalent atoms, fractional coordinates:
1 Fe 0.000 0.000 0.000
2 H 0.004 0.185 0.146
3 H 0.063 0.095 0.279
4 H 0.086 0.634 0.741
5 H 0.323 0.140 0.036
6 H 0.325 0.599 0.711
7 H 0.335 0.061 0.898
8 S 0.258 0.147 0.606
9 O 0.012 0.607 0.335
10 O 0.056 0.186 0.645
11 O 0.160 0.607 0.664
12 O 0.193 0.080 0.465
13 O 0.292 0.064 0.997
14 O 0.391 0.238 0.579
15 O 0.400 0.082 0.737

Results
Energy of formation, eV/atom: -1.4343
V, Å³/cell: 681

***

# Li4Ni5O10

A relaxed Li4Ni5O10 crystal (PBE+U, the Materials Project database).

Cell: 4.964 5.674 7.537 Å, 74.36 74.23 64.77°
Space group P1 (No. 1)
Inequivalent atoms, fractional coordinates:
1 Li 0.000 0.000 0.000
2 Li 0.099 0.895 0.517
3 Li 0.423 0.004 0.200
4 Li 0.533 0.902 0.714
5 Ni 0.060 0.455 0.763
6 Ni 0.266 0.449 0.359
7 Ni 0.459 0.452 0.958
8 Ni 0.656 0.455 0.565
9 Ni 0.860 0.450 0.160
10 O 0.043 0.243 0.370
11 O 0.122 0.639 0.130
12 O 0.235 0.243 0.973
13 O 0.288 0.679 0.749
14 O 0.419 0.259 0.582
15 O 0.485 0.657 0.349
16 O 0.640 0.236 0.165
17 O 0.682 0.653 0.949
18 O 0.795 0.259 0.793
19 O 0.884 0.661 0.555

Results
Offset from the most stable computed form, eV/atom: 0.036
Energy of formation, eV/atom: -1.3460
V, Å³/cell: 182

***

# V3OF11

A relaxed V3OF11 crystal (PBE+U, the Materials Project database).

Cell: 5.429 5.990 7.326 Å, 94.55 99.25 97.52°
Space group P1 (No. 1)
Inequivalent atoms, fractional coordinates:
1 V 0.000 0.000 0.000
2 V 0.230 0.330 0.737
3 V 0.568 0.182 0.342
4 O 0.294 0.187 0.211
5 F 0.010 0.163 0.546
6 F 0.080 0.769 0.117
7 F 0.160 0.591 0.657
8 F 0.254 0.015 0.848
9 F 0.486 0.437 0.917
10 F 0.498 0.292 0.575
11 F 0.555 0.907 0.412
12 F 0.740 0.065 0.148
13 F 0.752 0.446 0.335
14 F 0.761 0.881 0.812
15 F 0.990 0.305 0.912

Results
Offset from the most stable computed form, eV/atom: 0.039
Energy of formation, eV/atom: -2.8578
V, Å³/cell: 232

***

# Ca3La5Mn7FeO24

A relaxed Ca3La5Mn7FeO24 crystal (PBE+U, the Materials Project database).

Cell: 5.531 7.785 11.065 Å, 89.91 89.94 90.00°
Space group P1 (No. 1)
Inequivalent atoms, fractional coordinates:
1 Ca 0.000 0.000 0.000
2 Ca 0.001 0.002 0.497
3 Ca 0.437 0.501 0.249
4 La 0.447 0.500 0.751
5 La 0.492 0.001 0.757
6 La 0.493 0.001 0.257
7 La 0.945 0.500 0.012
8 La 0.949 0.501 0.502
9 Mn 0.469 0.249 0.006
10 Mn 0.469 0.752 0.006
11 Mn 0.470 0.752 0.502
12 Mn 0.471 0.250 0.501
13 Mn 0.969 0.248 0.754
14 Mn 0.969 0.249 0.253
15 Mn 0.969 0.753 0.253
16 Fe 0.969 0.755 0.754
17 O 0.193 0.289 0.118
18 O 0.197 0.712 0.114
19 O 0.201 0.293 0.618
20 O 0.202 0.708 0.618
21 O 0.243 0.212 0.367
22 O 0.245 0.214 0.866
23 O 0.247 0.790 0.370
24 O 0.248 0.787 0.867
25 O 0.453 0.999 0.040
26 O 0.453 0.999 0.540
27 O 0.478 0.502 0.968
28 O 0.483 0.502 0.466
29 O 0.686 0.709 0.140
30 O 0.690 0.292 0.143
31 O 0.693 0.711 0.640
32 O 0.696 0.291 0.641
33 O 0.742 0.790 0.893
34 O 0.743 0.210 0.891
35 O 0.745 0.793 0.395
36 O 0.748 0.209 0.392
37 O 0.956 0.999 0.214
38 O 0.959 0.004 0.714
39 O 0.976 0.496 0.790
40 O 0.985 0.503 0.287

Results
Offset from the most stable computed form, eV/atom: 0.000
Energy of formation, eV/atom: -2.8139
V, Å³/cell: 476

***

# Na3CoF6

A relaxed Na3CoF6 crystal (PBE+U, the Materials Project database).

Cell: 5.620 5.793 9.653 Å, 90.00 124.51 90.00°
Space group P2_1/c (No. 14)
Inequivalent atoms, fractional coordinates:
1 Na 0.000 0.000 0.000
2 Na 0.231 0.047 0.738
3 Co 0.500 0.000 0.500
4 F 0.163 0.167 0.460
5 F 0.274 0.714 0.433
6 F 0.376 0.059 0.275

Results
Offset from the most stable computed form, eV/atom: 0.000
Energy of formation, eV/atom: -2.6621
V, Å³/cell: 259

***

# LiCoC2O6

A relaxed LiCoC2O6 crystal (PBE+U, the Materials Project database).

Cell: 5.814 7.637 11.573 Å, 89.88 89.90 84.59°
Space group P1 (No. 1)
Inequivalent atoms, fractional coordinates:
1 Li 0.000 0.000 0.000
2 Li 0.001 0.497 0.843
3 Li 0.494 0.002 0.502
4 Li 0.502 0.497 0.347
5 Co 0.477 0.824 0.773
6 Co 0.479 0.323 0.072
7 Co 0.983 0.825 0.276
8 Co 0.992 0.328 0.567
9 C 0.135 0.116 0.763
10 C 0.137 0.614 0.080
11 C 0.483 0.030 0.993
12 C 0.486 0.529 0.853
13 C 0.636 0.112 0.268
14 C 0.644 0.606 0.581
15 C 0.980 0.033 0.493
16 C 0.982 0.530 0.355
17 O 0.011 0.039 0.831
18 O 0.011 0.532 0.016
19 O 0.059 0.774 0.120
20 O 0.062 0.278 0.723
21 O 0.165 0.113 0.516
22 O 0.175 0.596 0.335
23 O 0.296 0.116 0.035
24 O 0.299 0.615 0.811
25 O 0.342 0.052 0.730
26 O 0.347 0.556 0.111
27 O 0.473 0.888 0.935
28 O 0.477 0.386 0.910
29 O 0.508 0.029 0.330
30 O 0.518 0.521 0.519
31 O 0.558 0.273 0.228
32 O 0.570 0.767 0.619
33 O 0.674 0.097 0.015
34 O 0.675 0.599 0.833
35 O 0.789 0.111 0.531
36 O 0.797 0.619 0.313
37 O 0.847 0.057 0.238
38 O 0.855 0.550 0.612
39 O 0.968 0.384 0.408
40 O 0.999 0.887 0.438

Results
Offset from the most stable computed form, eV/atom: 0.052
Energy of formation, eV/atom: -1.7174
V, Å³/cell: 512

***

# LiFeP4O12

A relaxed LiFeP4O12 crystal (PBE+U, the Materials Project database).

Cell: 9.099 9.494 10.501 Å, 90.00 90.00 90.00°
Space group P2_12_12_1 (No. 19)
Inequivalent atoms, fractional coordinates:
1 Li 0.147 0.248 0.310
2 Fe 0.001 0.237 0.714
3 P 0.000 0.016 0.982
4 P 0.005 0.951 0.387
5 P 0.197 0.956 0.611
6 P 0.203 0.469 0.894
7 O 0.001 0.623 0.622
8 O 0.004 0.350 0.219
9 O 0.008 0.363 0.556
10 O 0.034 0.103 0.373
11 O 0.125 0.552 0.414
12 O 0.125 0.886 0.489
13 O 0.134 0.043 0.077
14 O 0.145 0.104 0.636
15 O 0.147 0.428 0.032
16 O 0.150 0.366 0.796
17 O 0.175 0.624 0.863
18 O 0.178 0.853 0.721

Results
Offset from the most stable computed form, eV/atom: 0.040
Energy of formation, eV/atom: -2.5097
V, Å³/cell: 907

***

# MgMn6O10F2

A relaxed MgMn6O10F2 crystal (PBE+U, the Materials Project database).

Cell: 5.656 5.915 7.076 Å, 73.02 73.00 82.82°
Space group P1 (No. 1)
Inequivalent atoms, fractional coordinates:
1 Mg 0.000 0.000 0.000
2 Mn 0.372 0.817 0.173
3 Mn 0.385 0.774 0.664
4 Mn 0.608 0.217 0.339
5 Mn 0.625 0.174 0.829
6 Mn 0.990 0.503 0.000
7 Mn 0.996 0.497 0.500
8 O 0.100 0.595 0.706
9 O 0.239 0.726 0.963
10 O 0.310 0.148 0.002
11 O 0.344 0.504 0.337
12 O 0.430 0.936 0.374
13 O 0.565 0.055 0.629
14 O 0.650 0.488 0.666
15 O 0.690 0.842 0.001
16 O 0.755 0.268 0.038
17 O 0.891 0.400 0.295
18 F 0.002 0.862 0.296
19 F 0.994 0.132 0.705

Results
Offset from the most stable computed form, eV/atom: 0.024
Energy of formation, eV/atom: -2.1065
V, Å³/cell: 216

***

# HfMg6MnO8

A relaxed HfMg6MnO8 crystal (PBE+U, the Materials Project database).

Cell: 4.383 4.383 8.883 Å, 90.00 90.00 90.00°
Space group P4/mmm (No. 123)
Inequivalent atoms, fractional coordinates:
1 Hf 0.000 0.000 0.000
2 Mg 0.000 0.500 0.260
3 Mg 0.500 0.500 0.000
4 Mg 0.500 0.500 0.500
5 Mn 0.000 0.000 0.500
6 O 0.000 0.000 0.245
7 O 0.000 0.500 0.000
8 O 0.000 0.500 0.500
9 O 0.500 0.500 0.253

Results
Offset from the most stable computed form, eV/atom: 0.037
Energy of formation, eV/atom: -2.6939
V, Å³/cell: 171

***

# Mg2MnWO6

A relaxed Mg2MnWO6 crystal (PBE+U, the Materials Project database).

Cell: 9.109 6.389 5.312 Å, 90.00 123.24 90.00°
Space group C2 (No. 5)
Inequivalent atoms, fractional coordinates:
1 Mg 0.208 0.000 0.248
2 Mn 0.000 0.409 0.000
3 W 0.000 0.811 0.500
4 O 0.037 0.011 0.798
5 O 0.092 0.585 0.800
6 O 0.247 0.806 0.596

Results
Offset from the most stable computed form, eV/atom: 0.102
Energy of formation, eV/atom: -2.4529
V, Å³/cell: 259

***

no.,energy (eV/cell)
1,-283.96
2,-312.90
3,-92.02
4,-85.26
5,-304.19
6,-89.55
7,-274.30
8,-504.33
9,-132.10
10,-104.24
11,-138.62